Density functional theory data (r2SCAN) for a relaxed structure of SmSnPd.

DFT total energy   -26.7936 eV/atom
Formation energy from the elements   -2.94 eV per formula unit

abc: 7.3874 4.6730 7.9710
angles: 90.00 90.00 90.00
With the nearest neighbours (Å) after each atom.
Space group Pnma (No. 62)
Asymmetric unit:
Sm (0.0102, 0.2500, 0.2047) x4  6 Pd 3.13-3.41, 6 Sn 3.23-3.34
Sn (0.1915, 0.2500, 0.5876) x4  4 Pd 2.71-2.90
Pd (0.2015, 0.7500, 0.4166) x4  4 Sn 2.71-2.90

=====

Density functional theory data (r2SCAN) for a relaxed structure of Na5GaO4.

DFT total energy   -7.0428 eV/atom
Formation energy from the elements   -17.27 eV per formula unit

abc: 5.9041 17.8717 10.2149
angles: 90.00 90.00 90.00
With the nearest neighbours (Å) after each atom.
Space group Pbca (No. 61)
Asymmetric unit:
Na (0.0750, 0.1391, 0.2006) x8  4 O 2.31-2.47
Na (0.0816, 0.0654, 0.9394) x8  3 O 2.21-2.30
Na (0.0912, 0.5020, 0.1615) x8  4 O 2.33-2.50
Na (0.1041, 0.6712, 0.8281) x8  4 O 2.27-2.44
Na (0.1044, 0.7483, 0.5829) x8  4 O 2.35-2.40
Ga (0.1742, 0.1241, 0.4599) x8  4 O 1.85-1.89
O (0.1394, 0.6210, 0.0491) x8  1 Ga 1.85
O (0.1957, 0.5453, 0.3684) x8  1 Ga 1.86
O (0.2330, 0.7122, 0.3736) x8  1 Ga 1.89
O (0.2378, 0.6252, 0.6363) x8  1 Ga 1.88

=====

Density functional theory data (r2SCAN) for a relaxed structure of CaH2S2O8.

DFT total energy   -7.7570 eV/atom
Formation energy from the elements   -23.04 eV per formula unit

abc: 6.9210 13.9872 12.6087
angles: 90.00 90.00 90.00
With the nearest neighbours (Å) after each atom.
Space group Pbca (No. 61)
Asymmetric unit:
Ca (0.1495, 0.1904, 0.0628) x8  7 O 2.35-2.59
H (0.0807, 0.1147, 0.6793) x8  1 O 1.01
H (0.1729, 0.0208, 0.3272) x8  1 O 1.01
S (0.1344, 0.5642, 0.6438) x8  4 O 1.43-1.58
S (0.1612, 0.1727, 0.3601) x8  4 O 1.44-1.55
O (0.0120, 0.6837, 0.0753) x8  1 S 1.46
O (0.0164, 0.1067, 0.9182) x8  1 S 1.43
O (0.0838, 0.5608, 0.7577) x8  1 S 1.48, 2 H 1.57-1.58
O (0.1268, 0.1903, 0.2494) x8  1 S 1.44
O (0.1855, 0.7311, 0.4072) x8  1 S 1.47
O (0.1930, 0.1372, 0.6344) x8  1 H 1.01
O (0.2056, 0.0270, 0.1087) x8  1 S 1.44
O (0.2395, 0.0698, 0.3735) x8  1 H 1.01

=====

Density functional theory data (r2SCAN) for a relaxed structure of RbI3.

DFT total energy   -22.8077 eV/atom
Formation energy from the elements   -3.62 eV per formula unit

abc: 10.8801 6.7605 9.9475
angles: 90.00 90.00 90.00
With the nearest neighbours (Å) after each atom.
Space group Pnma (No. 62)
Asymmetric unit:
Rb (0.1730, 0.2500, 0.0255) x4  8 I 3.72-4.03
I (0.0730, 0.7500, 0.2643) x4  1 I 2.88
I (0.1266, 0.2500, 0.5450) x4  2 I 2.88-3.02
I (0.1592, 0.7500, 0.8512) x4  1 I 3.02

=====

Density functional theory data (r2SCAN) for a relaxed structure of GaP.

DFT total energy   -10.7313 eV/atom
Distance to the lowest polymorph of the same formula   0.000 eV/f.u.
Formation energy from the elements   -1.02 eV per formula unit

abc: 5.4516 5.4516 5.4516
angles: 90.00 90.00 90.00
With the nearest neighbours (Å) after each atom.
Space group F-43m (No. 216)
Asymmetric unit:
Ga (0.0000, 0.0000, 0.0000) x4  4 P 2.36
P (0.2500, 0.2500, 0.2500) x4  4 Ga 2.36

=====

Density functional theory data (r2SCAN) for a relaxed structure of NaHCO3.

DFT total energy   -7.4074 eV/atom
Formation energy from the elements   -9.56 eV per formula unit

abc: 3.4046 9.6573 7.8989
angles: 90.00 111.23 90.00
With the nearest neighbours (Å) after each atom.
Space group P2_1/c (No. 14)
Asymmetric unit:
Na (0.0776, 0.0046, 0.2874) x4  6 O 2.35-2.42
H (0.1920, 0.7409, 0.6516) x4  1 O 1.03
C (0.2866, 0.2384, 0.0761) x4  3 O 1.26-1.34
O (0.0016, 0.1707, 0.9377) x4  1 H 1.03
O (0.3064, 0.1313, 0.5712) x4  1 C 1.26
O (0.4837, 0.6626, 0.2934) x4  1 C 1.28

=====

Density functional theory data (r2SCAN) for a relaxed structure of Er2CuPd.

DFT total energy   -26.0276 eV/atom
Formation energy from the elements   -2.45 eV per formula unit

abc: 6.8580 6.8580 6.8580
angles: 90.00 90.00 90.00
With the nearest neighbours (Å) after each atom.
Space group Fm-3m (No. 225)
Asymmetric unit:
Er (0.2500, 0.2500, 0.2500) x8  4 Pd 2.97, 4 Cu 2.97
Cu (0.0000, 0.0000, 0.0000) x4  8 Er 2.97
Pd (0.0000, 0.0000, 0.5000) x4  8 Er 2.97

=====

Density functional theory data (r2SCAN) for a relaxed structure of Cs3NiF7.

DFT total energy   -12.4627 eV/atom
Formation energy from the elements   -27.90 eV per formula unit

abc: 8.2690 8.2690 6.1711
angles: 90.00 90.00 90.00
With the nearest neighbours (Å) after each atom.
Space group P4/mbm (No. 127)
Asymmetric unit:
Cs (0.0000, 0.0000, 0.0000) x2  6 F 3.09-3.14
Cs (0.1922, 0.3078, 0.5000) x4  10 F 2.96-3.15
Ni (0.0000, 0.5000, 0.0000) x2  6 F 1.78-1.79
F (0.0000, 0.0000, 0.5000) x2  6 Cs 3.00-3.09
F (0.1076, 0.6076, 0.2056) x8  1 Ni 1.79
F (0.1526, 0.3474, 0.0000) x4  1 Ni 1.78

=====

Density functional theory data (r2SCAN) for a relaxed structure of Dy4Al24Pt9.

DFT total energy   -21.3584 eV/atom
Formation energy from the elements   -37.37 eV per formula unit

abc: 7.4809 7.4824 13.0897
angles: 79.07 84.55 60.12
With the nearest neighbours (Å) after each atom.
Space group P-1 (No. 2)
Asymmetric unit:
Dy (0.0013, 0.2324, 0.3079) x2  11 Al 3.06-3.20, 3 Pt 3.28-3.30
Dy (0.3319, 0.5622, 0.3080) x2  11 Al 3.06-3.20, 3 Pt 3.28-3.32
Al (0.0000, 0.1481, 0.5549) x2  3 Pt 2.54-2.60, 3 Al 2.74-2.81
Al (0.9995, 0.3140, 0.0589) x2  4 Pt 2.54-2.67
Al (0.0068, 0.0560, 0.8297) x2  3 Pt 2.52-2.54, 1 Al 2.82
Al (0.1313, 0.3073, 0.6847) x2  2 Pt 2.50-2.57, 4 Al 2.66-2.74
Al (0.3326, 0.0207, 0.9389) x2  4 Pt 2.55-2.74, 3 Al 2.81-2.82
Al (0.3329, 0.1821, 0.4543) x2  3 Pt 2.56-2.62, 5 Al 2.77-2.81
Al (0.3333, 0.6468, 0.0589) x2  4 Pt 2.54-2.67
Al (0.3336, 0.4817, 0.5548) x2  3 Pt 2.54-2.59, 3 Al 2.74-2.81
Al (0.3345, 0.3823, 0.8299) x2  3 Pt 2.52-2.54, 1 Al 2.82
Al (0.3361, 0.8985, 0.6834) x2  2 Pt 2.50-2.57, 4 Al 2.65-2.80
Al (0.3403, 0.2697, 0.1689) x2  3 Pt 2.52-2.53, 1 Al 2.81
Al (0.4588, 0.8969, 0.3162) x2  2 Pt 2.51-2.57, 4 Al 2.65-2.80
Pt (0.0000, 0.5000, 0.5000) x1  8 Al 2.56-2.59
Pt (0.0079, 0.6125, 0.1386) x2  8 Al 2.50-2.74
Pt (0.3254, 0.9542, 0.1373) x2  8 Al 2.51-2.74
Pt (0.3284, 0.8284, 0.4999) x2  8 Al 2.54-2.62
Pt (0.3333, 0.7047, 0.8614) x2  8 Al 2.50-2.74

=====

Density functional theory data (r2SCAN) for a relaxed structure of Sr2Ti2As2OF2.

DFT total energy   -13.4815 eV/atom
Formation energy from the elements   -23.53 eV per formula unit

abc: 4.0571 4.0571 19.4792
angles: 90.00 90.00 90.00
With the nearest neighbours (Å) after each atom.
Space group I4/mmm (No. 139)
Asymmetric unit:
Sr (0.0000, 0.0000, 0.1771) x4  4 F 2.48
Ti (0.0000, 0.5000, 0.0000) x4  2 O 2.03
As (0.0000, 0.0000, 0.4082) x4  4 Ti 2.70
O (0.0000, 0.0000, 0.0000) x2  4 Ti 2.03
F (0.0000, 0.5000, 0.2500) x4  4 Sr 2.48

=====

Density functional theory data (r2SCAN) for a relaxed structure of Fe3P.

DFT total energy   -13.3138 eV/atom
Formation energy from the elements   -1.01 eV per formula unit

abc: 9.0992 9.0992 4.3893
angles: 90.00 90.00 90.00
With the nearest neighbours (Å) after each atom.
Space group I-4 (No. 82)
Asymmetric unit:
Fe (0.0269, 0.1384, 0.2481) x8  4 P 2.28-2.32, 1 Fe 2.47
Fe (0.0817, 0.6032, 0.0112) x8  2 P 2.30-2.37, 2 Fe 2.40-2.48
Fe (0.1709, 0.7170, 0.4893) x8  3 P 2.26-2.44, 2 Fe 2.47-2.48
P (0.0425, 0.2062, 0.7467) x8  9 Fe 2.26-2.44